Record 1
The following is a GGA-PBE calculation of an optimized crystal structure of USbAs, from the Materials Project.

Results
Crystal system: tetragonal
ΔE_f: -1.52 eV/f.u.
Final energy: -7.20 eV per atom

The structure in extended XYZ format:
```
6
Lattice="4.138 0.000 0.000 0.000 4.138 0.000 0.000 0.000 8.379" Properties=species:S:1:pos:R:3 pbc="T T T"
U 0.000 2.069 5.844
U 2.069 0.000 2.535
Sb 2.069 2.069 0.000
Sb 0.000 0.000 0.000
As 0.000 2.069 2.979
As 2.069 0.000 5.400
```

Record 2
The following is a GGA-PBE calculation of an optimized crystal structure of KCu3S2, from the Materials Project.

Results
Crystal system: monoclinic
ΔE_f: -3.78 eV/f.u.
Final energy: -4.08 eV per atom

The structure in extended XYZ format:
```
12
Lattice="-6.229 -3.295 -2.710 -3.913 -2.819 -5.809 0.794 -8.231 -0.670" Properties=species:S:1:pos:R:3 pbc="T T T"
K -8.736 -5.653 -7.398
K -0.612 -8.693 -1.792
Cu -2.817 -5.336 -2.925
Cu -9.169 -9.091 -8.248
Cu -6.531 -9.009 -6.265
Cu -3.611 -7.749 -3.888
Cu -5.737 -6.597 -5.301
Cu -0.180 -5.255 -0.941
S -4.660 -4.885 -4.233
S -1.711 -3.722 -1.850
S -7.638 -10.624 -7.339
S -4.688 -9.461 -4.956
```

Record 3
The following is a GGA-PBE calculation of an optimized crystal structure of U2TeO2, from the Materials Project.

Results
Crystal system: tetragonal
ΔE_f: -12.52 eV/f.u.
Final energy: -9.35 eV per atom

The structure in extended XYZ format:
```
5
Lattice="4.957 -4.533 0.961 6.408 0.724 2.112 -6.512 1.556 1.101" Properties=species:S:1:pos:R:3 pbc="T T T"
U 7.393 -2.478 1.999
U 3.972 -1.331 1.074
Te 0.000 0.000 0.000
O 2.789 0.188 2.374
O 2.064 -2.440 1.799
```

Record 4
The following is a GGA-PBE calculation of an optimized crystal structure of AuS5N5Cl4, from the Materials Project.

Results
Crystal system: monoclinic
ΔE_f: 0.72 eV/f.u.
Final energy: -4.66 eV per atom

The structure in extended XYZ format:
```
30
Lattice="-0.702 6.142 10.596 0.785 -4.821 2.847 10.813 0.215 0.592" Properties=species:S:1:pos:R:3 pbc="T T T"
Au 7.217 3.999 8.812
Au 3.679 -2.463 5.222
S 0.206 2.900 8.984
S 1.656 2.947 11.685
S 4.032 -0.452 9.486
S 10.690 -1.364 5.050
S 8.979 0.864 6.276
S 6.863 1.988 4.548
S 3.865 1.014 12.015
S 1.916 0.671 7.758
S 9.239 -1.412 2.350
S 7.031 0.522 2.019
N 10.189 -1.675 3.586
N 8.237 -0.255 2.658
N 4.395 -0.068 10.983
N 8.080 1.118 5.025
N 2.815 0.418 9.009
N 0.866 1.817 8.044
N 2.658 1.791 11.377
N 0.706 3.211 10.449
N 6.500 1.604 3.052
N 10.029 -0.281 5.990
Cl 6.192 2.110 7.934
Cl 4.703 -0.574 6.101
Cl 1.848 0.480 1.494
Cl 9.235 -0.589 9.705
Cl 6.004 3.758 10.777
Cl 9.047 1.055 12.541
Cl 1.660 2.124 4.330
Cl 4.892 -2.222 3.258
```

Record 5
The following is a GGA-PBE calculation of an optimized crystal structure of TbSi2Ru2, from the Materials Project.

Results
Crystal system: tetragonal
ΔE_f: -4.58 eV/f.u.
Final energy: -7.72 eV per atom

The structure in extended XYZ format:
```
5
Lattice="4.187 0.000 0.000 0.000 4.187 0.000 -2.094 -2.094 4.796" Properties=species:S:1:pos:R:3 pbc="T T T"
Tb 0.000 0.000 0.000
Si 2.094 2.094 1.267
Si 0.000 0.000 3.529
Ru 2.094 0.000 2.398
Ru 0.000 2.094 2.398
```

Record 6
The following is a GGA-PBE calculation of an optimized crystal structure of Nd2Mg, from the Materials Project.

Results
Crystal system: orthorhombic
Energy above the most stable polymorph in this dataset: 0.00 eV/f.u.
ΔE_f: -0.18 eV/f.u.
Final energy: -3.77 eV per atom

The structure in extended XYZ format:
```
6
Lattice="1.915 -8.781 0.000 1.915 8.781 0.000 0.000 0.000 5.645" Properties=species:S:1:pos:R:3 pbc="T T T"
Nd 1.915 7.240 1.411
Nd 1.915 -4.782 1.411
Nd 1.915 -7.240 4.234
Nd 1.915 4.782 4.234
Mg 1.915 1.199 1.411
Mg 1.915 -1.199 4.234
```

Record 7
The following is a GGA-PBE calculation of an optimized crystal structure of Te7As5I, from the Materials Project.

Results
Crystal system: monoclinic
Piezoelectric modulus e_max: 0.7 C/m2
Energy above the most stable polymorph in this dataset: 0.24 eV/f.u.
ΔE_f: -0.44 eV/f.u.
Final energy: -3.61 eV per atom

The structure in extended XYZ format:
```
13
Lattice="-5.576 -4.695 2.557 -4.199 -6.433 -0.811 5.963 -10.665 7.940" Properties=species:S:1:pos:R:3 pbc="T T T"
Te -4.083 -10.270 3.630
Te -5.742 -16.188 6.006
Te 2.442 -10.985 6.666
Te -4.448 -19.503 8.245
Te -2.766 -13.533 5.852
Te -1.047 -7.711 3.551
Te 0.299 -1.543 0.918
As -4.853 -5.539 0.875
As -6.331 -11.740 3.470
As 1.566 -6.309 3.896
As -0.366 -12.253 6.173
As -2.172 -18.120 8.462
I -2.510 -4.183 1.133
```

Record 8
The following is a GGA-PBE calculation of an optimized crystal structure of NaHCN2, from the Materials Project.

Results
Crystal system: orthorhombic
ΔE_f: -2.12 eV/f.u.
Final energy: -6.40 eV per atom

The structure in extended XYZ format:
```
20
Lattice="-3.476 -0.293 0.792 -0.574 -4.849 -4.312 2.298 -6.952 7.512" Properties=species:S:1:pos:R:3 pbc="T T T"
Na -0.540 -4.232 -0.089
Na -0.925 -5.437 6.238
Na -1.212 -7.862 4.082
Na -0.253 -1.808 2.067
H 1.117 -10.056 3.778
H -2.869 -2.039 0.214
H 0.639 -5.316 3.433
H -2.391 -6.779 0.560
C -3.073 -4.193 -2.257
C 1.321 -7.902 6.250
C -1.851 -4.596 2.955
C 0.099 -7.498 1.038
N -2.491 -4.930 -1.506
N 0.739 -7.165 5.498
N -1.774 -3.803 2.053
N 0.022 -8.291 1.940
N -1.341 -10.346 4.432
N -0.410 -1.748 -0.440
N -1.873 -5.445 3.912
N 0.121 -6.650 0.081
```

Record 9
The following is a GGA-PBE calculation of an optimized crystal structure of MgSn2O4, from the Materials Project.

Results
Crystal system: trigonal
Energy above the most stable polymorph in this dataset: 0.89 eV/f.u.
ΔE_f: -14.12 eV/f.u.
Final energy: -5.83 eV per atom

The structure in extended XYZ format:
```
14
Lattice="5.621 -3.317 0.000 5.621 3.317 0.000 3.662 0.000 5.402" Properties=species:S:1:pos:R:3 pbc="T T T"
Mg 14.851 0.000 5.383
Mg 5.595 0.000 2.028
Sn 11.245 0.000 4.076
Sn 8.399 1.674 2.016
Sn 8.399 -1.674 2.016
Sn 7.411 0.000 4.743
O 7.481 0.000 1.007
O 6.662 1.388 3.267
O 6.662 -1.388 3.267
O 9.050 0.000 3.280
O 1.928 0.000 0.699
O 4.609 1.542 0.724
O 4.609 -1.542 0.724
O 3.699 0.000 3.235
```

Record 10
The following is a GGA-PBE calculation of an optimized crystal structure of Hf8Ni21, from the Materials Project.

Results
Crystal system: triclinic
ΔE_f: -14.36 eV/f.u.
Final energy: -7.43 eV per atom

The structure in extended XYZ format:
```
29
Lattice="-4.677 -0.767 4.315 3.059 -5.025 5.400 1.277 4.771 6.952" Properties=species:S:1:pos:R:3 pbc="T T T"
Hf -2.735 1.328 6.828
Hf 2.393 -2.349 9.840
Hf -0.067 0.423 10.534
Hf -0.274 -1.444 6.134
Hf -2.289 -2.827 8.526
Hf 1.947 1.806 8.142
Hf 0.490 -1.030 14.516
Hf -0.832 0.009 2.151
Ni 2.168 -0.127 6.176
Ni -1.717 0.246 4.647
Ni 1.375 -1.267 12.020
Ni -2.713 1.341 9.612
Ni 2.372 -2.362 7.056
Ni -1.254 2.760 11.043
Ni 0.912 -3.781 5.625
Ni -2.955 -1.365 6.379
Ni 0.693 3.693 6.713
Ni -1.035 -4.714 9.954
Ni -0.639 2.297 8.596
Ni 0.297 -3.318 8.071
Ni -0.050 1.153 6.503
Ni -0.292 -2.175 10.164
Ni 0.772 0.282 4.234
Ni -1.114 -1.303 12.433
Ni -0.110 -2.046 3.547
Ni -0.231 1.025 13.121
Ni 1.038 -0.691 8.335
Ni -1.379 -0.330 8.333
Ni 2.614 0.343 10.288
```

Record 11
The following is a GGA-PBE calculation of an optimized crystal structure of ZnGeS3O12, from the Materials Project.

Results
ΔE_f: -30.25 eV/f.u.
Final energy: -5.86 eV per atom

The structure in extended XYZ format:
```
102
Lattice="8.526 0.000 0.000 -4.263 7.384 0.000 0.000 0.000 21.902" Properties=species:S:1:pos:R:3 pbc="T T T"
Zn 0.000 0.000 7.792
Zn 0.000 0.000 18.743
Zn 4.263 2.461 15.093
Zn 4.263 2.461 4.142
Zn 0.000 4.922 0.492
Zn 0.000 4.922 11.443
Ge 0.000 0.000 14.209
Ge 0.000 0.000 3.258
Ge 4.263 2.461 21.509
Ge 4.263 2.461 10.559
Ge 0.000 4.922 6.908
Ge 0.000 4.922 17.859
S -1.772 7.302 5.503
S 2.947 5.268 5.503
S -1.174 2.198 5.503
S 1.174 2.198 16.453
S -2.947 5.268 16.453
S 1.772 7.302 16.453
S 6.754 2.379 12.803
S 2.947 0.345 12.803
S 3.089 4.659 12.803
S 5.437 4.659 1.852
S 5.579 0.345 1.852
S 1.772 2.379 1.852
S 2.491 4.840 20.104
S -1.316 2.806 20.104
S -1.174 7.121 20.104
S 1.174 7.121 9.153
S 1.316 2.806 9.153
S -2.491 4.840 9.153
O 1.673 0.136 6.673
O 3.544 5.867 6.673
O 7.572 1.381 6.673
O 0.954 1.381 17.623
O 4.982 5.867 17.623
O 6.853 0.136 17.623
O 2.626 6.996 15.202
O 0.483 1.612 15.202
O -3.109 6.159 15.202
O 3.109 6.159 4.251
O -0.483 1.612 4.251
O -2.626 6.996 4.251
O 5.936 2.597 13.973
O 3.544 0.944 13.973
O 3.309 3.842 13.973
O 5.217 3.842 3.022
O 4.982 0.944 3.022
O 2.590 2.597 3.022
O 2.626 2.074 0.601
O 4.746 4.073 0.601
O 5.417 1.237 0.601
O 3.109 1.237 11.552
O 3.780 4.073 11.552
O 5.900 2.074 11.552
O 1.673 5.059 21.274
O -0.719 3.406 21.274
O -0.954 6.303 21.274
O 0.954 6.303 10.323
O 0.719 3.406 10.323
O -1.673 5.059 10.323
O -1.637 4.535 7.902
O 0.483 6.534 7.902
O 1.154 3.698 7.902
O -1.154 3.698 18.852
O -0.483 6.534 18.852
O 1.637 4.535 18.852
O -3.370 5.969 8.938
O 2.591 7.318 8.938
O 0.779 1.481 8.938
O -0.779 1.481 19.889
O -2.591 7.318 19.889
O 3.370 5.969 19.889
O 7.568 1.103 12.930
O 1.434 0.278 12.930
O 3.787 6.003 12.930
O 4.739 6.003 1.979
O 7.092 0.278 1.979
O 0.958 1.103 1.979
O 5.156 1.046 16.238
O 2.591 2.395 16.238
O 5.042 3.942 16.238
O 3.484 3.942 5.287
O 5.935 2.395 5.287
O 3.370 1.046 5.287
O 3.305 3.564 20.231
O 5.697 2.740 20.231
O 3.787 1.080 20.231
O 4.739 1.080 9.280
O 2.829 2.740 9.280
O 5.221 3.564 9.280
O 0.893 3.507 1.637
O -1.672 4.856 1.637
O 0.779 6.404 1.637
O -0.779 6.404 12.588
O 1.672 4.856 12.588
O -0.893 3.507 12.588
O -0.958 6.025 5.630
O 1.434 5.201 5.630
O -0.476 3.541 5.630
O 0.476 3.541 16.580
O -1.434 5.201 16.580
O 0.958 6.025 16.580
```

Record 12
The following is a GGA-PBE calculation of an optimized crystal structure of CsMg6Cr, from the Materials Project.

Results
Energy above the most stable polymorph in this dataset: 0.06 eV/f.u.
ΔE_f: 3.88 eV/f.u.
Final energy: -2.03 eV per atom

The structure in extended XYZ format:
```
16
Lattice="-4.464 0.835 -2.852 1.141 -5.728 -3.464 -6.265 -6.098 8.020" Properties=species:S:1:pos:R:3 pbc="T T T"
Cs -5.833 -6.507 2.182
Cs -3.271 -0.593 -0.096
Mg -7.127 -9.454 3.345
Mg -7.690 -6.628 5.054
Mg -3.373 -4.800 3.873
Mg -2.738 -7.987 1.946
Mg -4.746 -8.039 5.073
Mg -5.191 -5.052 6.645
Mg -4.565 -3.541 1.067
Mg -3.987 -6.443 -0.688
Mg 0.330 -4.615 -1.869
Mg -0.176 -2.073 -0.332
Mg -2.183 -2.125 2.795
Mg -1.488 -4.867 0.903
Cr -6.398 -3.638 3.908
Cr -2.695 -3.453 -1.835
```

Record 13
The following is a GGA-PBE calculation of an optimized crystal structure of Ca4P6O19, from the Materials Project.

Results
Crystal system: triclinic
ΔE_f: -88.98 eV/f.u.
Final energy: -7.26 eV per atom

The structure in extended XYZ format:
```
58
Lattice="-5.354 3.973 -1.975 -5.633 -5.983 4.298 5.483 7.863 8.771" Properties=species:S:1:pos:R:3 pbc="T T T"
Ca -7.911 0.152 5.885
Ca 0.622 8.678 6.994
Ca -6.125 -2.825 4.100
Ca -3.148 6.725 5.574
Ca -5.141 5.673 9.070
Ca -2.356 -0.873 5.520
Ca -0.363 0.180 2.025
Ca 2.407 5.701 5.209
P 3.094 6.293 8.285
P -8.597 -0.440 2.809
P -4.269 3.921 3.347
P -5.815 2.149 8.113
P -4.844 1.759 5.300
P -3.620 -0.874 2.229
P -1.235 1.932 7.748
P 0.312 3.704 2.982
P -0.660 4.093 5.794
P -2.109 3.967 9.794
P -1.883 6.727 8.865
P -3.394 1.886 1.300
O 2.027 6.504 9.495
O 0.781 4.233 6.237
O -3.216 -2.939 5.126
O -2.287 8.792 5.968
O -1.647 5.140 6.173
O -1.939 0.613 7.575
O -4.306 2.301 0.172
O -4.759 1.969 6.870
O -0.735 7.452 8.267
O -3.273 3.023 2.430
O -1.226 2.648 6.318
O 0.516 2.198 2.810
O -6.020 3.654 8.284
O -4.278 3.205 4.776
O -6.285 1.620 4.857
O -1.963 1.569 0.941
O 2.534 7.167 7.148
O -4.112 0.673 2.038
O -3.222 6.712 8.165
O -3.986 -1.614 7.671
O 4.498 6.726 8.770
O -3.541 4.283 10.154
O -7.531 -0.651 1.600
O -5.630 3.869 2.705
O -2.231 2.830 8.664
O -8.038 -1.314 3.947
O -6.063 -1.594 6.128
O 0.559 7.447 4.966
O -4.769 -1.599 2.827
O -3.857 0.713 4.921
O -10.002 -0.873 2.324
O -3.565 5.240 3.520
O 0.127 1.984 8.390
O -1.518 7.467 3.423
O -0.744 3.884 4.224
O -2.282 -0.859 2.930
O -1.392 5.180 9.057
O -1.198 3.552 10.922
```

Record 14
The following is a GGA-PBE calculation of an optimized crystal structure of LaCeAl2O6, from the Materials Project.

Results
Crystal system: orthorhombic
Energy above the most stable polymorph in this dataset: 0.06 eV/f.u.
ΔE_f: -36.60 eV/f.u.
Final energy: -8.05 eV per atom

The structure in extended XYZ format:
```
10
Lattice="4.453 0.518 -3.003 4.275 -3.115 0.955 -3.092 -4.368 -0.492" Properties=species:S:1:pos:R:3 pbc="T T T"
La 2.520 -1.612 -1.384
Ce 3.130 -5.352 -1.165
Al 0.591 -3.740 0.231
Al 0.001 -0.001 0.000
O 0.900 -5.611 0.338
O 4.730 -1.355 -2.874
O 6.881 -2.892 -2.407
O 4.658 -3.188 -0.907
O 0.969 -3.778 -1.632
O 3.203 -3.556 -3.128
```